Density functional theory data (PBE+U) for crystalline Fe5O8F2 at its relaxed geometry.

The formation energy comes out at -1.577 eV per atom. For the MP2020-corrected energy, the calculation gives -7.294 eV/atom.

The structure belongs to space group P2_1/c (No. 14); the cell edges are 7.6205, 4.6598 and 10.1459 Å and the angles 90.00°, 115.03° and 90.00°. The asymmetric unit holds Fe at (0.0000, 0.0000, 0.0000), Fe at (0.1916, 0.0189, 0.7870), Fe at (0.4126, 0.0324, 0.6053), O at (0.0163, 0.6918, 0.6763), O at (0.1845, 0.2101, 0.6134), O at (0.3851, 0.1874, 0.4220), O at (0.4101, 0.6710, 0.2686) and F at (0.2195, 0.7020, 0.4735).